A relaxed structure of Lu2MgZrO6, computed with r2SCAN.

Cell and atoms, written as POSCAR:
```
Lu2MgZrO6
1.0
0.132 -5.379 1.329
-4.191 -2.257 2.839
-3.440 -3.557 -2.496
Lu Mg Zr O
2 1 1 6
direct
0.250 0.250 0.250
0.750 0.750 0.750
0.000 0.000 0.000
0.500 0.500 0.500
0.756 0.244 0.244
0.244 0.756 0.756
0.244 0.756 0.244
0.756 0.244 0.756
0.244 0.244 0.756
0.756 0.756 0.244
```

Summary:
- Size of the total moment: 0.00 μB/f.u.
- Formation enthalpy at 0 K: -3050 meV per atom
- Space group: No. 225